Entry from the Materials Project database: PPd4 after structural relaxation (r2SCAN).

Values from the calculation:
Electronic total energy (eV per formula unit): -102.82
ΔH_f (0 K) (meV per atom): -395

Cell lengths 7.571, 5.158, 5.716 Å; angles 89.96, 90.00, 90.00 degrees
Sites, in units of the cell vectors:
P1 0.500 0.545 0.880
P2 0.000 0.044 0.608
P3 0.000 0.459 0.116
Pd1 0.500 0.351 0.521
Pd2 0.500 0.134 0.036
Pd3 0.000 0.626 0.485
Pd4 0.000 0.874 0.982
Pd5 0.316 0.831 0.672
Pd6 0.686 0.673 0.182
Pd7 0.808 0.171 0.318
Pd8 0.190 0.328 0.822
Pd9 0.192 0.171 0.318
Pd10 0.810 0.328 0.822
Pd11 0.684 0.831 0.672
Pd12 0.314 0.673 0.182